No. 1
! CeGaAg PBE relaxed; values from VASP
! electronic total energy = -4.25 eV per atom
! mass density = 7.74 Mg/m³
&SYSTEM
  ibrav = 0, nat = 12, ntyp = 3
/
ATOMIC_SPECIES
Ce 140.12 Ce.upf
Ag 107.87 Ag.upf
Ga 69.72 Ga.upf
CELL_PARAMETERS angstrom
-4.683 0.000 0.000
0.000 0.000 -7.476
0.000 -7.791 0.000
ATOMIC_POSITIONS crystal
Ce 0.250 0.496 0.797
Ag 0.750 0.326 0.590
Ag 0.250 0.173 0.090
Ga 0.750 0.709 0.584
Ga 0.750 0.792 0.916
Ag 0.250 0.326 0.410
Ga 0.250 0.792 0.084
Ag 0.750 0.173 0.910
Ce 0.250 0.003 0.704
Ga 0.250 0.709 0.416
Ce 0.750 0.003 0.296
Ce 0.750 0.496 0.203

No. 2
! Ba6CaNb2IrCl2O12 PBE relaxed; values from VASP
! energy relative to the lowest polymorph listed for this composition = 0.0381 eV per atom
! electronic total energy = -6.85 eV per atom
! mass density = 4.75 Mg/m³
&SYSTEM
  ibrav = 0, nat = 24, ntyp = 6
/
ATOMIC_SPECIES
O 16.00 O.upf
Ba 137.33 Ba.upf
Nb 92.91 Nb.upf
Cl 35.45 Cl.upf
Ir 192.22 Ir.upf
Ca 40.08 Ca.upf
CELL_PARAMETERS angstrom
-3.790 -1.070 4.806
4.573 -3.908 -1.522
8.200 8.608 11.097
ATOMIC_POSITIONS crystal
O 0.664 0.888 0.877
O 0.114 0.337 0.877
Ba 0.581 0.420 0.874
O 0.316 0.156 0.744
Ba 0.302 0.698 0.373
O 0.880 0.141 0.126
O 0.200 0.324 0.259
Nb 0.007 0.995 0.201
Nb 0.962 0.038 0.790
O 0.839 0.161 0.721
O 0.845 0.684 0.744
Cl 0.674 0.324 0.427
O 0.118 0.880 0.897
Ba 0.670 0.330 0.625
O 0.675 0.813 0.258
Ba 0.295 0.707 0.765
Cl 0.325 0.676 0.568
O 0.152 0.832 0.259
Ba 0.661 0.343 0.232
Ir 0.121 0.875 0.008
Ca 0.853 0.150 0.988
Ba 0.349 0.648 0.135
O 0.322 0.079 0.108
O 0.910 0.678 0.108

No. 3
! In4Au9 PBE relaxed; values from VASP
! electronic total energy = -3.23 eV per atom
! mass density = 14.49 Mg/m³
&SYSTEM
  ibrav = 0, nat = 52, ntyp = 2
/
ATOMIC_SPECIES
Au 196.97 Au.upf
In 114.82 In.upf
CELL_PARAMETERS angstrom
10.078 0.000 0.000
0.000 10.078 0.000
0.000 0.000 10.078
ATOMIC_POSITIONS crystal
Au 0.675 0.675 0.325
In 0.123 0.877 0.877
Au 0.000 0.639 0.000
Au 0.675 0.325 0.675
Au 0.315 0.034 0.315
Au 0.500 0.500 0.139
Au 0.685 0.966 0.315
Au 0.500 0.139 0.500
Au 0.325 0.325 0.325
Au 0.861 0.500 0.500
Au 0.833 0.833 0.833
In 0.877 0.877 0.123
In 0.462 0.191 0.809
Au 0.685 0.685 0.034
Au 0.685 0.034 0.685
Au 0.325 0.675 0.675
In 0.809 0.462 0.191
Au 0.139 0.500 0.500
Au 0.000 0.000 0.361
Au 0.500 0.500 0.861
In 0.809 0.538 0.809
In 0.123 0.123 0.123
Au 0.034 0.315 0.315
In 0.462 0.809 0.191
In 0.538 0.191 0.191
In 0.191 0.462 0.809
Au 0.315 0.315 0.034
Au 0.500 0.861 0.500
Au 0.315 0.685 0.966
Au 0.966 0.685 0.315
In 0.191 0.809 0.462
Au 0.167 0.167 0.833
In 0.538 0.809 0.809
Au 0.000 0.361 0.000
Au 0.392 0.392 0.608
Au 0.608 0.392 0.392
In 0.191 0.191 0.538
In 0.809 0.809 0.538
Au 0.639 0.000 0.000
Au 0.833 0.167 0.167
Au 0.966 0.315 0.685
Au 0.392 0.608 0.392
Au 0.000 0.000 0.639
Au 0.608 0.608 0.608
In 0.809 0.191 0.462
Au 0.361 0.000 0.000
In 0.191 0.538 0.191
Au 0.315 0.966 0.685
Au 0.167 0.833 0.167
In 0.877 0.123 0.877
Au 0.685 0.315 0.966
Au 0.034 0.685 0.685

No. 4
! ZnSeO5 PBE relaxed; values from VASP
! energy relative to the lowest polymorph listed for this composition = 0.0437 eV per atom
! electronic total energy = -4.57 eV per atom
! mass density = 3.93 Mg/m³
&SYSTEM
  ibrav = 0, nat = 28, ntyp = 3
/
ATOMIC_SPECIES
O 16.00 O.upf
Se 78.96 Se.upf
Zn 65.41 Zn.upf
CELL_PARAMETERS angstrom
6.415 0.000 1.124
-0.268 0.000 -7.605
0.000 7.814 0.000
ATOMIC_POSITIONS crystal
O 0.576 0.065 0.785
O 0.192 0.049 0.918
O 0.913 0.339 0.916
O 0.852 0.831 0.768
O 0.076 0.565 0.715
Se 0.078 0.307 0.376
O 0.944 0.194 0.539
O 0.648 0.669 0.268
O 0.308 0.451 0.418
O 0.556 0.306 0.039
O 0.692 0.549 0.582
O 0.444 0.694 0.961
O 0.148 0.169 0.232
Se 0.922 0.693 0.624
Zn 0.904 0.096 0.812
Se 0.578 0.807 0.124
O 0.413 0.839 0.584
Zn 0.596 0.404 0.312
O 0.087 0.661 0.084
O 0.352 0.331 0.732
Zn 0.404 0.596 0.688
O 0.808 0.951 0.082
O 0.924 0.435 0.285
Se 0.422 0.193 0.876
O 0.587 0.161 0.416
O 0.424 0.935 0.215
Zn 0.096 0.904 0.188
O 0.056 0.806 0.461

No. 5
! K2RbErCl6 PBE relaxed; values from VASP
! electronic total energy = -3.92 eV per atom
! mass density = 2.43 Mg/m³
&SYSTEM
  ibrav = 0, nat = 10, ntyp = 4
/
ATOMIC_SPECIES
K 39.10 K.upf
Cl 35.45 Cl.upf
Rb 85.47 Rb.upf
Er 167.26 Er.upf
CELL_PARAMETERS angstrom
6.357 1.301 4.800
2.903 7.475 0.915
-0.966 3.874 7.014
ATOMIC_POSITIONS crystal
K 0.750 0.750 0.750
Cl 0.771 0.771 0.229
Cl 0.229 0.229 0.771
Rb 0.500 0.500 0.500
K 0.250 0.250 0.250
Cl 0.229 0.771 0.229
Er 0.000 0.000 0.000
Cl 0.771 0.229 0.229
Cl 0.229 0.771 0.771
Cl 0.771 0.229 0.771

No. 6
! Na4Cu4H18C8O23 PBE relaxed; values from VASP
! electronic total energy = -5.72 eV per atom
! mass density = 2.10 Mg/m³
&SYSTEM
  ibrav = 0, nat = 114, ntyp = 5
/
ATOMIC_SPECIES
C 12.01 C.upf
H 1.01 H.upf
O 16.00 O.upf
Cu 63.55 Cu.upf
Na 22.99 Na.upf
CELL_PARAMETERS angstrom
8.687 0.000 0.000
0.000 8.687 0.000
0.000 0.000 17.369
ATOMIC_POSITIONS crystal
C 0.751 0.798 0.054
H 0.142 0.850 0.918
O 0.917 0.314 0.124
O 0.153 0.618 0.933
H 0.859 0.875 0.800
C 0.327 0.725 0.342
O 0.282 0.180 0.651
O 0.190 0.401 0.240
Cu 0.911 0.156 0.432
Cu 0.156 0.089 0.568
Na 0.000 0.500 0.328
H 0.681 0.150 0.793
C 0.249 0.202 0.054
C 0.673 0.275 0.342
C 0.173 0.775 0.158
O 0.500 0.500 0.000
H 0.642 0.350 0.582
H 0.350 0.181 0.293
O 0.317 0.790 0.988
O 0.618 0.847 0.067
H 0.125 0.859 0.200
H 0.625 0.359 0.300
O 0.583 0.186 0.376
Cu 0.411 0.656 0.068
H 0.141 0.125 0.800
O 0.417 0.814 0.376
H 0.051 0.768 0.708
C 0.202 0.751 0.946
H 0.232 0.051 0.292
Cu 0.656 0.589 0.932
H 0.500 0.500 0.804
O 0.500 0.500 0.139
Na 0.500 0.000 0.463
H 0.350 0.358 0.418
H 0.551 0.268 0.792
C 0.798 0.249 0.946
H 0.875 0.141 0.200
O 0.218 0.320 0.849
C 0.251 0.298 0.446
O 0.847 0.382 0.933
Cu 0.089 0.844 0.432
O 0.180 0.718 0.349
O 0.347 0.882 0.567
O 0.814 0.583 0.624
O 0.401 0.810 0.760
H 0.858 0.150 0.918
C 0.275 0.327 0.658
O 0.118 0.347 0.433
O 0.210 0.317 0.012
O 0.310 0.099 0.260
O 0.810 0.599 0.240
O 0.083 0.686 0.124
H 0.150 0.142 0.082
H 0.150 0.319 0.207
H 0.650 0.819 0.293
Cu 0.589 0.344 0.068
O 0.653 0.118 0.567
O 0.782 0.680 0.849
O 0.290 0.183 0.488
H 0.319 0.850 0.793
H 0.949 0.232 0.708
H 0.850 0.681 0.207
O 0.817 0.290 0.512
O 0.901 0.310 0.740
Na 0.000 0.500 0.828
C 0.775 0.827 0.842
Na 0.000 0.500 0.037
H 0.732 0.551 0.208
O 0.099 0.690 0.740
O 0.320 0.782 0.151
O 0.690 0.901 0.260
C 0.225 0.173 0.842
O 0.599 0.190 0.760
O 0.000 0.000 0.639
H 0.641 0.625 0.700
O 0.186 0.417 0.624
H 0.819 0.350 0.707
H 0.358 0.650 0.582
H 0.768 0.949 0.292
O 0.500 0.500 0.861
O 0.820 0.282 0.349
O 0.710 0.817 0.488
O 0.718 0.820 0.651
Na 0.000 0.500 0.537
Na 0.500 0.000 0.172
C 0.702 0.251 0.554
C 0.827 0.225 0.158
Na 0.500 0.000 0.963
H 0.449 0.732 0.792
O 0.683 0.210 0.988
H 0.181 0.650 0.707
O 0.000 0.000 0.361
O 0.790 0.683 0.012
O 0.382 0.153 0.067
H 0.500 0.500 0.196
C 0.725 0.673 0.658
C 0.298 0.749 0.554
H 0.359 0.375 0.700
H 0.000 0.000 0.304
O 0.680 0.218 0.151
H 0.850 0.858 0.082
O 0.000 0.000 0.500
O 0.882 0.653 0.433
Cu 0.844 0.911 0.568
Na 0.500 0.000 0.672
H 0.650 0.642 0.418
H 0.375 0.641 0.300
H 0.268 0.449 0.208
H 0.000 0.000 0.696
Cu 0.344 0.411 0.932
O 0.314 0.083 0.876
C 0.749 0.702 0.446
O 0.183 0.710 0.512
O 0.686 0.917 0.876

No. 7
! CaMg14C PBE relaxed; values from VASP
! energy relative to the lowest polymorph listed for this composition = 0.0877 eV per atom
! electronic total energy = -1.81 eV per atom
! mass density = 1.82 Mg/m³
&SYSTEM
  ibrav = 0, nat = 16, ntyp = 3
/
ATOMIC_SPECIES
Ca 40.08 Ca.upf
Mg 24.30 Mg.upf
C 12.01 C.upf
CELL_PARAMETERS angstrom
6.421 0.000 0.000
-3.211 5.561 0.000
0.000 0.000 10.039
ATOMIC_POSITIONS crystal
Ca 0.167 0.333 0.125
Mg 0.674 0.826 0.625
Mg 0.833 0.667 0.364
Mg 0.850 0.175 0.846
Mg 0.833 0.667 0.886
Mg 0.850 0.175 0.404
Mg 0.325 0.175 0.846
Mg 0.674 0.348 0.625
Mg 0.152 0.826 0.625
Mg 0.659 0.841 0.125
Mg 0.659 0.319 0.125
Mg 0.325 0.650 0.404
Mg 0.325 0.650 0.846
C 0.167 0.333 0.625
Mg 0.325 0.175 0.404
Mg 0.181 0.841 0.125

No. 8
! YRu2 PBE relaxed; values from VASP
! electronic total energy = -8.65 eV per atom
! mass density = 8.94 Mg/m³
&SYSTEM
  ibrav = 0, nat = 12, ntyp = 2
/
ATOMIC_SPECIES
Ru 101.07 Ru.upf
Y 88.91 Y.upf
CELL_PARAMETERS angstrom
-2.638 -4.570 0.000
-2.638 4.570 0.000
0.000 0.000 -8.969
ATOMIC_POSITIONS crystal
Ru 0.000 0.000 0.500
Ru 0.170 0.830 0.250
Y 0.667 0.333 0.433
Ru 0.340 0.170 0.750
Ru 0.660 0.830 0.250
Y 0.667 0.333 0.067
Ru 0.830 0.660 0.750
Y 0.333 0.667 0.933
Ru 0.830 0.170 0.750
Ru 0.170 0.340 0.250
Ru 0.000 0.000 0.000
Y 0.333 0.667 0.567